Entry 1:
! PBE BaLaCl5, optimized geometry; values from VASP
&SYSTEM
  ibrav = 0, nat = 56, ntyp = 3
/
ATOMIC_SPECIES
La 138.91 La.upf
Cl 35.45 Cl.upf
Ba 137.33 Ba.upf
CELL_PARAMETERS angstrom
7.2844 0.0000 0.0000
0.0000 14.6453 0.0000
0.0000 0.0000 15.5325
ATOMIC_POSITIONS crystal
La 0.7500 0.7150 0.3958
La 0.2500 0.2850 0.6042
La 0.2500 0.2150 0.1042
La 0.7500 0.7850 0.8958
La 0.2500 0.5348 0.2796
La 0.7500 0.4652 0.7204
La 0.7500 0.0348 0.2204
La 0.2500 0.9652 0.7796
Cl 0.2500 0.3384 0.4269
Cl 0.9870 0.8283 0.7238
Cl 0.0130 0.1717 0.2762
Cl 0.5120 0.3278 0.0252
Cl 0.0120 0.8278 0.4748
Cl 0.5176 0.0775 0.0782
Cl 0.9758 0.0934 0.7460
Cl 0.2500 0.9835 0.5964
Cl 0.5176 0.4225 0.5782
Cl 0.9880 0.1722 0.5252
Cl 0.5242 0.0934 0.7460
Cl 0.0130 0.3283 0.7762
Cl 0.5120 0.1722 0.5252
Cl 0.5130 0.8283 0.7238
Cl 0.0176 0.9225 0.9218
Cl 0.7500 0.4835 0.9036
Cl 0.4758 0.5934 0.7540
Cl 0.4880 0.8278 0.4748
Cl 0.4824 0.5775 0.4218
Cl 0.4880 0.6722 0.9748
Cl 0.9824 0.4225 0.5782
Cl 0.0120 0.6722 0.9748
Cl 0.2500 0.1616 0.9269
Cl 0.9758 0.4066 0.2460
Cl 0.0176 0.5775 0.4218
Cl 0.9880 0.3278 0.0252
Cl 0.7500 0.6616 0.5731
Cl 0.4824 0.9225 0.9218
Cl 0.7500 0.8384 0.0731
Cl 0.5242 0.4066 0.2460
Cl 0.5130 0.6717 0.2238
Cl 0.0242 0.9066 0.2540
Cl 0.4870 0.3283 0.7762
Cl 0.7500 0.0165 0.4036
Cl 0.0242 0.5934 0.7540
Cl 0.4758 0.9066 0.2540
Cl 0.4870 0.1717 0.2762
Cl 0.9870 0.6717 0.2238
Cl 0.2500 0.5165 0.0964
Cl 0.9824 0.0775 0.0782
Ba 0.7500 0.9801 0.6020
Ba 0.7500 0.1852 0.9053
Ba 0.2500 0.8148 0.0947
Ba 0.7500 0.3148 0.4053
Ba 0.2500 0.4801 0.8980
Ba 0.2500 0.0199 0.3980
Ba 0.7500 0.5199 0.1020
Ba 0.2500 0.6852 0.5947
! * ΔE to the lowest computed polymorph: 26.1 meV/atom
! * E (MP2020): -35.85 eV per formula unit
! * M_tot: 0.02 μB/f.u.

=====

Entry 2:
! PBE BaLaCl5, optimized geometry; values from VASP
&SYSTEM
  ibrav = 0, nat = 56, ntyp = 3
/
ATOMIC_SPECIES
Cl 35.45 Cl.upf
La 138.91 La.upf
Ba 137.33 Ba.upf
CELL_PARAMETERS angstrom
15.7739 0.0000 0.0000
0.0000 10.0239 0.0000
0.0000 2.3477 10.2730
ATOMIC_POSITIONS crystal
Cl 0.7893 0.9229 0.6660
Cl 0.0918 0.4709 0.0649
Cl 0.0841 0.0581 0.0706
Cl 0.7571 0.7243 0.4668
Cl 0.9235 0.5218 0.6042
Cl 0.6724 0.5229 0.7605
Cl 0.5765 0.5218 0.1042
Cl 0.5841 0.9419 0.4294
Cl 0.6470 0.1956 0.6453
Cl 0.8276 0.5229 0.2605
Cl 0.3276 0.4771 0.2395
Cl 0.5918 0.5291 0.4351
Cl 0.1724 0.4771 0.7395
Cl 0.2571 0.2757 0.0332
Cl 0.8211 0.2686 0.8040
Cl 0.2893 0.0771 0.8340
Cl 0.9082 0.5291 0.9351
Cl 0.8530 0.1956 0.1453
Cl 0.2107 0.0771 0.3340
Cl 0.3211 0.7314 0.6960
Cl 0.3530 0.8044 0.3547
Cl 0.5617 0.9155 0.8770
Cl 0.6343 0.2196 0.9820
Cl 0.1789 0.7314 0.1960
Cl 0.2429 0.2757 0.5332
Cl 0.8657 0.2196 0.4820
Cl 0.4235 0.4782 0.8958
Cl 0.1470 0.8044 0.8547
Cl 0.1343 0.7804 0.5180
Cl 0.4383 0.0845 0.1230
Cl 0.0765 0.4782 0.3958
Cl 0.9159 0.9419 0.9294
Cl 0.4159 0.0581 0.5706
Cl 0.3657 0.7804 0.0180
Cl 0.6789 0.2686 0.3040
Cl 0.0617 0.0845 0.6230
Cl 0.4082 0.4709 0.5649
Cl 0.7429 0.7243 0.9668
Cl 0.7107 0.9229 0.1660
Cl 0.9383 0.9155 0.3770
La 0.7574 0.4381 0.5379
La 0.2426 0.5619 0.4621
La 0.7426 0.4381 0.0379
La 0.2347 0.9855 0.6109
La 0.7347 0.0145 0.8891
La 0.7653 0.0145 0.3891
La 0.2653 0.9855 0.1109
La 0.2574 0.5619 0.9621
Ba 0.5297 0.7840 0.2013
Ba 0.0297 0.2160 0.2987
Ba 0.5172 0.7151 0.6747
Ba 0.4703 0.2160 0.7987
Ba 0.4828 0.2849 0.3253
Ba 0.9828 0.7151 0.1747
Ba 0.0172 0.2849 0.8253
Ba 0.9703 0.7840 0.7013
! * ΔE to the lowest computed polymorph: 0.0 meV/atom
! * E (MP2020): -36.04 eV per formula unit
! * M_tot: 0.00 μB/f.u.